BaCaZrNbO6 | the Materials Project database | PBE | optimized geometry; VASP energy = -8.128 eV per atom; SG = F-43m; formation enthalpy at 0 K = -3.314 eV/atom
1.0
4.063 1.453 -3.991
3.828 -4.035 -1.900
-0.395 -2.072 -5.486
O Ca Ba Nb Zr
6 1 1 1 1
Cartesian
3.789 -3.196 -3.762
3.588 -4.250 -6.552
5.856 -2.457 -5.791
3.908 -0.404 -4.825
1.641 -2.198 -5.586
3.707 -1.458 -7.615
1.874 -1.164 -2.844
5.622 -3.491 -8.533
0.000 0.000 0.000
3.748 -2.327 -5.689

Pm2NiGe | the Materials Project database | PBE | optimized geometry; VASP energy = -5.433 eV per atom; SG = Fm-3m; formation enthalpy at 0 K = -0.457 eV/atom
1.0
-2.561 2.923 3.293
-4.744 1.504 -1.085
-3.939 -1.930 2.589
Ge Pm Ni
1 2 1
Cartesian
-5.622 1.248 2.398
-2.811 0.624 1.199
-8.433 1.873 3.598
0.000 0.000 0.000

GdMg2 | the Materials Project database | PBE | optimized geometry; VASP energy = -5.847 eV per atom; SG = Fd-3m; formation enthalpy at 0 K = -0.088 eV/atom
1.0
0.000 4.257 4.257
4.257 0.000 4.257
4.257 4.257 0.000
Mg Gd
4 2
Cartesian
5.321 3.193 3.193
3.193 3.193 5.321
5.321 5.321 5.321
3.193 5.321 3.193
0.000 0.000 0.000
2.128 2.128 2.128